# 1
PBE+U Li3Mn2P4O14, relaxed; corrected total energy (MP2020 scheme) = -7.57 eV/atom; calculated total energy = -0.2576 Ha/atom; V = 1072.3 Å³ per cell; space group = Pc (7)
1.0
11.3797 0.0000 0.0000
0.0000 9.8445 0.0000
-2.2470 0.0000 9.5713
Li Mn P O
12 8 16 56
direct
0.0000 0.0280 0.0000
0.0000 0.9720 0.5000
0.0183 0.1886 0.7287
0.0183 0.8114 0.2287
0.0992 0.3387 0.0583
0.0992 0.6613 0.5583
0.5105 0.1579 0.7365
0.5105 0.8421 0.2365
0.5253 0.1440 0.2988
0.5253 0.8560 0.7988
0.5816 0.3595 0.4749
0.5816 0.6405 0.9749
0.2248 0.1774 0.5884
0.2248 0.8226 0.0884
0.3784 0.4669 0.6474
0.3784 0.5331 0.1474
0.7287 0.0374 0.1324
0.7287 0.9626 0.6324
0.8746 0.3315 0.1812
0.8746 0.6685 0.6812
0.1250 0.1007 0.2627
0.1250 0.8993 0.7627
0.3058 0.3011 0.9128
0.3058 0.6989 0.4128
0.3108 0.3187 0.3257
0.3108 0.6813 0.8257
0.4432 0.0420 0.0053
0.4432 0.9580 0.5053
0.6632 0.4604 0.7682
0.6632 0.5396 0.2682
0.7944 0.1810 0.4492
0.7944 0.8190 0.9492
0.7948 0.2033 0.8643
0.7948 0.7967 0.3643
0.9715 0.3988 0.5050
0.9715 0.6012 0.0050
0.0318 0.1884 0.1621
0.0318 0.8116 0.6621
0.0693 0.3122 0.5960
0.0693 0.6878 0.0960
0.1076 0.0901 0.4116
0.1076 0.9099 0.9116
0.1330 0.0394 0.6977
0.1330 0.9606 0.1977
0.1740 0.3211 0.9039
0.1740 0.6789 0.4039
0.2499 0.4246 0.2131
0.2499 0.5754 0.7131
0.2547 0.1725 0.2698
0.2547 0.8275 0.7698
0.2810 0.3426 0.4695
0.2810 0.6574 0.9695
0.3355 0.1542 0.9838
0.3355 0.8458 0.4838
0.3406 0.2968 0.7647
0.3406 0.7032 0.2647
0.3911 0.0822 0.5659
0.3911 0.9178 0.0659
0.3953 0.4029 0.0014
0.3953 0.5971 0.5014
0.4433 0.3115 0.3270
0.4433 0.6885 0.8270
0.4719 0.0231 0.8642
0.4719 0.9769 0.3642
0.5509 0.0993 0.1146
0.5509 0.9007 0.6146
0.5520 0.3927 0.6619
0.5520 0.6073 0.1619
0.6310 0.4827 0.9048
0.6310 0.5173 0.4048
0.6621 0.1830 0.4516
0.6621 0.8170 0.9516
0.6966 0.1079 0.7838
0.6966 0.8921 0.2838
0.7177 0.4230 0.2012
0.7177 0.5770 0.7012
0.7716 0.3474 0.7894
0.7716 0.6526 0.2894
0.7796 0.2173 0.0193
0.7796 0.7827 0.5193
0.8225 0.1665 0.3027
0.8225 0.8335 0.8027
0.8443 0.3277 0.5095
0.8443 0.6723 0.0095
0.8626 0.0732 0.5515
0.8626 0.9268 0.0515
0.9224 0.1632 0.8611
0.9224 0.8368 0.3611
0.9621 0.4571 0.0599
0.9621 0.5429 0.5599
0.9793 0.4025 0.3491
0.9793 0.5975 0.8491

=====

# 2
PBE+U LiMnPO4, relaxed; corrected total energy (MP2020 scheme) = -7.74 eV/atom; calculated total energy = -0.2611 Ha/atom; V = 631.0 Å³ per cell; space group = Pbca (61)
1.0
5.8988 0.0000 0.0000
0.0000 7.6672 0.0000
0.0000 0.0000 13.9515
Li Mn P O
8 8 8 32
direct
0.0815 0.1702 0.0272
0.0815 0.3298 0.5272
0.4185 0.6702 0.0272
0.4185 0.8298 0.5272
0.5815 0.1702 0.4728
0.5815 0.3298 0.9728
0.9185 0.6702 0.4728
0.9185 0.8298 0.9728
0.1480 0.6808 0.7077
0.1480 0.8192 0.2077
0.3520 0.1808 0.7077
0.3520 0.3192 0.2077
0.6480 0.6808 0.7923
0.6480 0.8192 0.2923
0.8520 0.1808 0.7923
0.8520 0.3192 0.2923
0.1079 0.0380 0.3742
0.1079 0.4620 0.8742
0.3921 0.5380 0.3742
0.3921 0.9620 0.8742
0.6079 0.0380 0.1258
0.6079 0.4620 0.6258
0.8921 0.5380 0.1258
0.8921 0.9620 0.6258
0.0213 0.1389 0.6427
0.0213 0.3611 0.1426
0.0550 0.6772 0.0822
0.0550 0.8228 0.5822
0.1615 0.0992 0.2680
0.1615 0.4008 0.7680
0.1749 0.5124 0.4314
0.1749 0.9876 0.9314
0.3251 0.0124 0.4314
0.3251 0.4876 0.9314
0.3385 0.5992 0.2680
0.3385 0.9008 0.7680
0.4450 0.1772 0.0822
0.4450 0.3228 0.5822
0.4787 0.6389 0.6427
0.4787 0.8611 0.1426
0.5213 0.1389 0.8574
0.5213 0.3611 0.3574
0.5550 0.6772 0.4178
0.5550 0.8228 0.9178
0.6615 0.0992 0.2320
0.6615 0.4008 0.7320
0.6749 0.5124 0.0686
0.6749 0.9876 0.5686
0.8251 0.0124 0.0686
0.8251 0.4876 0.5686
0.8385 0.5992 0.2320
0.8385 0.9008 0.7320
0.9450 0.1772 0.4178
0.9450 0.3228 0.9178
0.9787 0.6389 0.8574
0.9787 0.8611 0.3574

=====

# 3
PBE+U LiMnPO4, relaxed; corrected total energy (MP2020 scheme) = -7.77 eV/atom; calculated total energy = -0.2624 Ha/atom; V = 316.0 Å³ per cell; space group = P-1 (2)
1.0
5.6966 0.0000 0.0000
1.6328 6.1193 0.0000
0.8966 1.9710 9.0657
Li Mn P O
4 4 4 16
direct
0.1295 0.4819 0.2422
0.2680 0.6445 0.6158
0.7320 0.3555 0.3842
0.8705 0.5181 0.7578
0.2365 0.8341 0.9113
0.3449 0.9324 0.3034
0.6551 0.0676 0.6966
0.7635 0.1659 0.0887
0.1754 0.1869 0.5718
0.2962 0.3106 0.9453
0.7038 0.6894 0.0547
0.8246 0.8131 0.4282
0.0832 0.7228 0.3632
0.1073 0.1717 0.9432
0.1454 0.1897 0.4065
0.1941 0.5455 0.8475
0.2923 0.9447 0.6603
0.3448 0.3170 0.1052
0.3563 0.3284 0.5835
0.4480 0.8006 0.1156
0.5520 0.1994 0.8844
0.6437 0.6716 0.4165
0.6552 0.6830 0.8948
0.7077 0.0553 0.3397
0.8059 0.4545 0.1525
0.8546 0.8103 0.5935
0.8927 0.8283 0.0568
0.9168 0.2772 0.6368

=====

# 4
PBE+U LiMnP2O7, relaxed; corrected total energy (MP2020 scheme) = -7.68 eV/atom; calculated total energy = -0.2605 Ha/atom; V = 521.3 Å³ per cell; space group = P2_1/c (14)
1.0
8.4470 0.0000 0.0000
0.0000 5.1831 0.0000
-6.2827 0.0000 11.9072
Li Mn P O
4 4 8 28
direct
0.0582 0.2398 0.2008
0.0582 0.2602 0.7008
0.9418 0.7398 0.2992
0.9418 0.7602 0.7992
0.2315 0.2389 0.9708
0.2315 0.2611 0.4708
0.7685 0.7389 0.5292
0.7685 0.7611 0.0292
0.1874 0.7134 0.1143
0.1874 0.7866 0.6143
0.3287 0.7370 0.3529
0.3287 0.7630 0.8529
0.6713 0.2370 0.1471
0.6713 0.2630 0.6471
0.8126 0.2134 0.3857
0.8126 0.2866 0.8857
0.0214 0.7061 0.6283
0.0214 0.7939 0.1283
0.1836 0.0780 0.5918
0.1836 0.4220 0.0918
0.2007 0.5547 0.8545
0.2007 0.9453 0.3545
0.2179 0.6221 0.5334
0.2179 0.8779 0.0334
0.2458 0.0330 0.8410
0.2458 0.4670 0.3410
0.3470 0.7249 0.7386
0.3470 0.7751 0.2386
0.4840 0.2311 0.5519
0.4840 0.2689 0.0519
0.5160 0.7311 0.9481
0.5160 0.7689 0.4481
0.6530 0.2249 0.7614
0.6530 0.2751 0.2614
0.7542 0.5330 0.6590
0.7542 0.9670 0.1590
0.7821 0.1221 0.9666
0.7821 0.3779 0.4666
0.7993 0.0547 0.6455
0.7993 0.4453 0.1455
0.8164 0.5780 0.9082
0.8164 0.9220 0.4082
0.9786 0.2061 0.8717
0.9786 0.2939 0.3717

=====

# 5
PBE+U LiMnPO4, relaxed; corrected total energy (MP2020 scheme) = -7.77 eV/atom; calculated total energy = -0.2625 Ha/atom; V = 973.7 Å³ per cell; space group = P1 (1)
1.0
7.6406 0.0000 0.0000
-0.0344 8.5786 0.0000
-0.2364 -0.1023 14.8560
Li Mn P O
12 12 12 48
direct
0.0000 0.0000 0.0000
0.0013 0.9806 0.3299
0.0204 0.4901 0.1552
0.1638 0.4750 0.8281
0.1671 0.9944 0.6501
0.1761 0.5051 0.5010
0.5022 0.6403 0.3174
0.5083 0.6678 0.9904
0.5158 0.1462 0.1685
0.6507 0.6470 0.6661
0.6732 0.1443 0.8181
0.6759 0.1598 0.4909
0.2710 0.8308 0.1680
0.3010 0.3114 0.9969
0.3024 0.8333 0.4837
0.3697 0.8318 0.8235
0.3771 0.3108 0.3316
0.3950 0.3059 0.6492
0.7817 0.8139 0.1585
0.7975 0.8085 0.8320
0.8010 0.3310 0.3238
0.8712 0.3358 0.9850
0.8744 0.8077 0.4991
0.9006 0.3279 0.6560
0.0661 0.6597 0.6764
0.0719 0.1280 0.8200
0.0807 0.1825 0.4829
0.0963 0.6312 0.3226
0.1048 0.6758 0.9858
0.1055 0.1553 0.1788
0.5626 0.4660 0.8328
0.5730 0.9851 0.6417
0.5783 0.5105 0.4968
0.6007 0.0155 0.9980
0.6052 0.9639 0.3362
0.6085 0.4840 0.1430
0.0589 0.2867 0.7691
0.0763 0.5033 0.9536
0.0773 0.9957 0.1279
0.0789 0.6700 0.4250
0.0814 0.7941 0.6065
0.0846 0.5015 0.6238
0.0871 0.1846 0.5888
0.0942 0.7900 0.2712
0.1008 0.1649 0.9223
0.1029 0.2895 0.1091
0.1093 0.0126 0.4493
0.1138 0.6759 0.0914
0.2081 0.6680 0.7511
0.2237 0.0323 0.7797
0.2239 0.2953 0.4496
0.2709 0.5455 0.3048
0.2794 0.7408 0.9507
0.2875 0.1466 0.2277
0.3898 0.4021 0.8704
0.3940 0.9878 0.5898
0.4057 0.6003 0.5129
0.4501 0.1120 0.0387
0.4552 0.8527 0.3643
0.4655 0.4756 0.0686
0.5499 0.4636 0.7277
0.5709 0.9782 0.8957
0.5737 0.1342 0.3694
0.5748 0.3509 0.5470
0.5751 0.8515 0.7118
0.5924 0.6390 0.8642
0.5925 0.6436 0.1944
0.5925 0.1457 0.6918
0.5936 0.3502 0.2134
0.5988 0.4746 0.3943
0.6130 0.8571 0.0491
0.6161 0.9646 0.2313
0.7161 0.3614 0.8650
0.7199 0.9725 0.5718
0.7316 0.6075 0.5368
0.7752 0.1061 0.0113
0.7811 0.9034 0.3748
0.7900 0.4803 0.0972
0.8842 0.6609 0.7217
0.8979 0.0371 0.8060
0.8987 0.2425 0.4521
0.9440 0.5306 0.2850
0.9526 0.7814 0.9534
0.9643 0.1721 0.2513

=====

# 6
PBE+U LiMn2P2O8, relaxed; corrected total energy (MP2020 scheme) = -7.95 eV/atom; calculated total energy = -0.2673 Ha/atom; V = 895.1 Å³ per cell; space group = P-1 (2)
1.0
8.6622 0.0000 0.0000
-0.0848 8.6654 0.0000
-4.2388 -4.2961 11.9250
Li Mn P O
6 12 12 48
direct
0.0000 0.0000 0.0000
0.1200 0.1455 0.6319
0.2490 0.2503 0.2490
0.5000 0.5000 0.5000
0.7510 0.7497 0.7510
0.8800 0.8545 0.3681
0.0059 0.6880 0.5713
0.0605 0.7422 0.1758
0.1124 0.6405 0.8761
0.3968 0.8556 0.6258
0.4377 0.7539 0.3172
0.4944 0.8103 0.9294
0.5056 0.1897 0.0706
0.5623 0.2461 0.6828
0.6032 0.1444 0.3742
0.8876 0.3595 0.1239
0.9395 0.2578 0.8242
0.9941 0.3120 0.4287
0.1659 0.5860 0.3745
0.1849 0.9687 0.8130
0.2181 0.4327 0.0645
0.2802 0.0624 0.4371
0.3145 0.5304 0.6852
0.3354 0.9160 0.1246
0.6646 0.0840 0.8754
0.6855 0.4696 0.3148
0.7198 0.9376 0.5629
0.7819 0.5673 0.9355
0.8151 0.0313 0.1870
0.8341 0.4140 0.6255
0.0324 0.6018 0.2692
0.0666 0.8745 0.8446
0.1126 0.1153 0.4484
0.1203 0.3166 0.0962
0.1211 0.4493 0.9498
0.1240 0.1326 0.8007
0.1384 0.4987 0.5948
0.1440 0.4041 0.3676
0.1509 0.7178 0.4806
0.1528 0.8939 0.1178
0.2019 0.8748 0.6975
0.2482 0.6108 0.1544
0.2476 0.8885 0.3447
0.2990 0.6312 0.7996
0.3470 0.7856 0.0175
0.3481 0.6092 0.3813
0.3592 0.0989 0.1323
0.3603 0.0003 0.9045
0.3632 0.3596 0.6863
0.3710 0.1835 0.4055
0.3785 0.0465 0.5522
0.3848 0.3765 0.0623
0.4340 0.6243 0.6535
0.4648 0.9043 0.2321
0.5352 0.0957 0.7679
0.5660 0.3757 0.3465
0.6152 0.6235 0.9377
0.6215 0.9535 0.4478
0.6290 0.8165 0.5945
0.6368 0.6404 0.3137
0.6397 0.9997 0.0955
0.6408 0.9011 0.8677
0.6519 0.3908 0.6187
0.6530 0.2144 0.9825
0.7010 0.3688 0.2004
0.7524 0.1115 0.6553
0.7518 0.3892 0.8456
0.7981 0.1252 0.3025
0.8472 0.1061 0.8822
0.8491 0.2822 0.5194
0.8560 0.5959 0.6324
0.8616 0.5013 0.4052
0.8760 0.8674 0.1993
0.8789 0.5507 0.0502
0.8797 0.6834 0.9038
0.8874 0.8847 0.5516
0.9334 0.1255 0.1554
0.9676 0.3982 0.7308